No. 1
Here is a geometry-optimized CsUTe3Au structure from the Materials Project database. Energies are from PBE-GGA.

Its theoretical density is 7.21 g/cm3. Its symmetry is No. 63. The value obtained for the total magnetic moment is 4.00 μB/cell. As for the formation energy: -71 kJ per mole of atoms. For the calculated volume, the calculation gives 36.47 A^3/atom.

extended XYZ file:
```
12
Lattice="2.207 -8.750 0.000 2.207 8.750 0.000 0.000 0.000 11.333" Properties=species:S:1:pos:R:3 pbc="T T T"
Cs 2.207 4.387 8.499
Cs 2.207 -4.387 2.833
U 0.000 0.000 0.000
U 0.000 0.000 5.666
Te 2.207 7.606 2.833
Te 2.207 2.110 0.509
Te 2.207 2.110 5.157
Te 2.207 -2.110 6.175
Te 2.207 -2.110 10.823
Te 2.207 -7.606 8.499
Au 2.207 0.642 2.833
Au 2.207 -0.642 8.499
```

No. 2
Here is a geometry-optimized MnSb2Se4 structure from the Materials Project database. Energies are from PBE-GGA.

Its theoretical density is 5.36 g/cm3. Its symmetry is No. 12. As for the formation energy: -56 kJ per mole of atoms. For the calculated volume, the calculation gives 27.17 A^3/atom.

extended XYZ file:
```
14
Lattice="6.655 -2.008 0.000 6.655 2.008 0.000 -6.508 0.000 14.235" Properties=species:S:1:pos:R:3 pbc="T T T"
Mn 0.000 0.000 0.000
Mn -3.254 0.000 7.118
Sb -2.631 0.000 12.472
Sb 0.622 0.000 8.963
Sb 6.179 0.000 5.272
Sb 9.432 0.000 1.764
Se -4.226 0.000 9.549
Se 1.037 0.000 2.475
Se 1.590 0.000 6.516
Se 4.931 0.000 0.702
Se 1.870 0.000 13.533
Se 5.211 0.000 7.719
Se 5.764 0.000 11.760
Se 11.027 0.000 4.686
```

No. 3
Here is a geometry-optimized Ti2Sn structure from the Materials Project database. Energies are from PBE-GGA.

Its theoretical density is 5.18 g/cm3. Its symmetry is No. 216. The value obtained for the total magnetic moment is 3.90 μB/cell. As for the formation energy: 26 kJ per mole of atoms. For the calculated volume, the calculation gives 22.90 A^3/atom.

extended XYZ file:
```
3
Lattice="0.000 3.250 3.250 3.250 0.000 3.250 3.250 3.250 0.000" Properties=species:S:1:pos:R:3 pbc="T T T"
Ti 0.000 0.000 0.000
Ti 1.625 1.625 1.625
Sn 3.250 3.250 3.250
```

No. 4
Here is a geometry-optimized Nb8Zn4C3 structure from the Materials Project database. Energies are from PBE-GGA.

Its theoretical density is 7.98 g/cm3. Its symmetry is No. 227. The value obtained for the total magnetic moment is 0.20 μB/cell. As for the formation energy: -13 kJ per mole of atoms. For the calculated volume, the calculation gives 14.44 A^3/atom.

extended XYZ file:
```
30
Lattice="0.000 6.006 6.006 6.006 0.000 6.006 6.006 6.006 0.000" Properties=species:S:1:pos:R:3 pbc="T T T"
Nb 0.000 0.000 0.000
Nb 3.003 3.003 0.000
Nb 3.003 0.000 3.003
Nb 4.504 4.504 2.229
Nb 4.504 2.229 4.504
Nb 6.780 4.504 4.504
Nb 7.507 7.507 5.232
Nb 7.507 5.232 7.507
Nb 9.783 7.507 7.507
Nb 0.000 3.003 3.003
Nb 2.229 4.504 4.504
Nb 4.504 6.780 4.504
Nb 4.504 4.504 6.780
Nb 5.232 7.507 7.507
Nb 7.507 9.783 7.507
Nb 7.507 7.507 9.783
Zn 9.462 5.552 5.552
Zn 2.549 2.549 2.549
Zn 6.460 6.460 2.549
Zn 6.460 2.549 6.460
Zn 5.552 9.462 5.552
Zn 5.552 5.552 9.462
Zn 9.462 9.462 9.462
Zn 2.549 6.460 6.460
C 6.006 3.003 3.003
C 4.504 4.504 4.504
C 3.003 6.006 3.003
C 3.003 3.003 6.006
C 6.006 6.006 6.006
C 7.507 7.507 7.507
```

No. 5
Here is a geometry-optimized Mg2Si structure from the Materials Project database. Energies are from PBE-GGA.

Its theoretical density is 2.05 g/cm3. Its symmetry is No. 2. The value obtained for the total magnetic moment is 0.00 μB/cell. As for the formation energy: 0 kJ per mole of atoms. For the calculated volume, the calculation gives 20.74 A^3/atom.

extended XYZ file:
```
12
Lattice="5.392 0.000 0.000 -0.973 6.285 0.000 -0.025 -2.430 7.343" Properties=species:S:1:pos:R:3 pbc="T T T"
Mg -0.043 0.537 1.443
Mg 0.328 4.414 3.083
Mg 1.201 1.035 4.423
Mg 1.692 4.627 0.210
Mg 2.702 -0.772 7.133
Mg 3.193 2.819 2.920
Mg 4.066 -0.559 4.260
Mg 4.437 3.318 5.900
Si 0.059 -0.086 6.624
Si 1.747 3.525 5.169
Si 2.648 0.329 2.175
Si 4.335 3.941 0.720
```

No. 6
Here is a geometry-optimized CeCuNi structure from the Materials Project database. Energies are from PBE-GGA.

Its theoretical density is 8.35 g/cm3. Its symmetry is No. 12. The value obtained for the total magnetic moment is 0.03 μB/cell. As for the formation energy: -24 kJ per mole of atoms. For the calculated volume, the calculation gives 17.38 A^3/atom.

extended XYZ file:
```
6
Lattice="4.603 -2.064 0.000 4.603 2.064 0.000 -3.823 0.000 5.488" Properties=species:S:1:pos:R:3 pbc="T T T"
Ce -0.632 0.000 1.653
Ce 6.014 0.000 3.835
Cu -0.497 0.000 5.057
Cu 5.879 0.000 0.431
Ni 1.962 0.000 1.726
Ni 3.421 0.000 3.762
```